Entry from the Materials Project: InPH4O6 after structural relaxation (GGA-PBE).

The space group is Pbca (No. 61) and the conventional cell measures 8.9177, 10.3064 and 10.5073 Å, with angles of 90.00, 90.00 and 90.00 degrees. Symmetry generates all atoms from In at (0.1516, 0.1731, 0.1304), P at (0.0316, 0.6413, 0.6523), H at (0.1260, 0.5759, 0.9644), H at (0.1590, 0.5702, 0.3221), H at (0.1876, 0.0343, 0.5589), H at (0.2114, 0.1721, 0.3764), O at (0.0028, 0.0078, 0.1482), O at (0.0091, 0.6951, 0.7886), O at (0.0830, 0.2099, 0.9377), O at (0.1534, 0.5576, 0.0529), O at (0.1963, 0.6643, 0.6072) and O at (0.2341, 0.1026, 0.3140).

Its crystal system is orthorhombic. The value obtained for the energy above the most stable polymorph in this dataset is 0.04 eV per formula unit. The calculation puts the energy of formation at -1.875 eV per atom. The total moment is 0.00 μB per formula unit.